# 1
# PBE-GGA LiSiBiO4, optimized geometry
data_LiSiBiO4
_chemical_formula_sum 'Li12 Si12 Bi12 O48'
_cell_length_a 22.338
_cell_length_b 8.851
_cell_length_c 5.282
_cell_angle_alpha 90.00
_cell_angle_beta 90.00
_cell_angle_gamma 90.00
_space_group_name_H-M_alt 'P n a 21'
_space_group_IT_number 33
loop_
_space_group_symop_operation_xyz
'x,y,z'
'-x,-y,z+1/2'
'-x+1/2,y+1/2,z+1/2'
'x+1/2,-y+1/2,z'
loop_
_atom_site_label
_atom_site_type_symbol
_atom_site_fract_x
_atom_site_fract_y
_atom_site_fract_z
_atom_site_occupancy
Li1 Li 0.081 0.074 0.000 1
Li2 Li 0.087 0.579 0.524 1
Li3 Li 0.250 0.422 0.993 1
Si1 Si 0.077 0.918 0.496 1
Si2 Si 0.091 0.415 0.032 1
Si3 Si 0.244 0.581 0.497 1
Bi1 Bi 0.005 0.220 0.544 1
Bi2 Bi 0.166 0.728 0.998 1
Bi3 Bi 0.167 0.283 0.470 1
O1 O 0.006 0.937 0.419 1
O2 O 0.067 0.575 0.152 1
O3 O 0.070 0.391 0.736 1
O4 O 0.074 0.266 0.210 1
O5 O 0.084 0.776 0.694 1
O6 O 0.099 0.078 0.629 1
O7 O 0.110 0.894 0.216 1
O8 O 0.165 0.417 0.064 1
O9 O 0.172 0.551 0.554 1
O10 O 0.227 0.107 0.280 1
O11 O 0.227 0.926 0.863 1
O12 O 0.248 0.727 0.304 1
# ΔH_f (0 K) = -2.499 eV per atom
# Calculated volume = 12.43 Å³ per atom
# Raw total energy = -549.11 eV for the cell shown
# Polymorph energy (0 for the lowest one) = 27 meV per atom

***

# 2
# PBE-GGA SbCl3F2, optimized geometry
data_SbCl3F2
_chemical_formula_sum 'Sb8 Cl24 F16'
_cell_length_a 13.343
_cell_length_b 13.343
_cell_length_c 7.418
_cell_angle_alpha 90.00
_cell_angle_beta 90.00
_cell_angle_gamma 90.00
_space_group_name_H-M_alt 'I 4'
_space_group_IT_number 79
loop_
_space_group_symop_operation_xyz
'x,y,z'
'-y,x,z'
'-x,-y,z'
'y,-x,z'
'x+1/2,y+1/2,z+1/2'
'-y+1/2,x+1/2,z+1/2'
'-x+1/2,-y+1/2,z+1/2'
'y+1/2,-x+1/2,z+1/2'
loop_
_atom_site_label
_atom_site_type_symbol
_atom_site_fract_x
_atom_site_fract_y
_atom_site_fract_z
_atom_site_occupancy
Sb1 Sb 0.047 0.219 0.000 1
Cl1 Cl 0.040 0.193 0.310 1
Cl2 Cl 0.058 0.642 0.990 1
Cl3 Cl 0.201 0.299 0.990 1
F1 F 0.041 0.198 0.746 1
F2 F 0.078 0.879 0.990 1
# ΔH_f (0 K) = -1.453 eV per atom
# Calculated volume = 27.51 Å³ per atom
# Raw total energy = -170.38 eV for the cell shown
# Polymorph energy (0 for the lowest one) = 4 meV per atom
# Maximum piezoelectric response = 0.1 C/m²

***

# 3
# PBE-GGA YMg14AlO16, optimized geometry
data_YMg14AlO16
_chemical_formula_sum 'Y1 Mg14 Al1 O16'
_cell_length_a 8.716
_cell_length_b 8.716
_cell_length_c 4.380
_cell_angle_alpha 90.00
_cell_angle_beta 90.00
_cell_angle_gamma 90.00
_space_group_name_H-M_alt 'P 4/m m m'
_space_group_IT_number 123
_space_group_name_Hall '-P 4 2'
loop_
_atom_site_label
_atom_site_type_symbol
_atom_site_fract_x
_atom_site_fract_y
_atom_site_fract_z
_atom_site_occupancy
Y1 Y 0.000 0.000 0.000 1
Mg1 Mg 0.000 0.262 0.500 1
Mg2 Mg 0.000 0.500 0.000 1
Mg3 Mg 0.250 0.500 0.500 1
Mg4 Mg 0.256 0.256 0.000 1
Al1 Al 0.500 0.500 0.000 1
O1 O 0.000 0.000 0.500 1
O2 O 0.000 0.260 0.000 1
O3 O 0.000 0.500 0.500 1
O4 O 0.248 0.248 0.500 1
O5 O 0.250 0.500 0.000 1
O6 O 0.500 0.500 0.500 1
# ΔH_f (0 K) = -2.887 eV per atom
# Calculated volume = 10.40 Å³ per atom
# Raw total energy = -193.18 eV for the cell shown
# Polymorph energy (0 for the lowest one) = 3 meV per atom

***

# 4
# PBE-GGA Sr2TlIn, optimized geometry
data_Sr2TlIn
_chemical_formula_sum 'Sr8 Tl4 In4'
_cell_length_a 8.251
_cell_length_b 8.251
_cell_length_c 8.251
_cell_angle_alpha 90.00
_cell_angle_beta 90.00
_cell_angle_gamma 90.00
_space_group_name_H-M_alt 'F m -3 m'
_space_group_IT_number 225
_space_group_name_Hall '-F 4 2 3'
loop_
_atom_site_label
_atom_site_type_symbol
_atom_site_fract_x
_atom_site_fract_y
_atom_site_fract_z
_atom_site_occupancy
Sr1 Sr 0.250 0.250 0.250 1
Tl1 Tl 0.000 0.000 0.000 1
In1 In 0.000 0.000 0.500 1
# ΔH_f (0 K) = -0.425 eV per atom
# Calculated volume = 35.10 Å³ per atom
# Raw total energy = -40.77 eV for the cell shown

***

# 5
# PBE-GGA U2MnNiSe6, optimized geometry
data_U2MnNiSe6
_chemical_formula_sum 'U4 Mn2 Ni2 Se12'
_cell_length_a 11.696
_cell_length_b 3.914
_cell_length_c 9.250
_cell_angle_alpha 90.00
_cell_angle_beta 91.08
_cell_angle_gamma 90.00
_space_group_name_H-M_alt 'C 1 2/m 1'
_space_group_IT_number 12
loop_
_space_group_symop_operation_xyz
'x,y,z'
'-x,-y,-z'
'-x,y,-z'
'x,-y,z'
'x+1/2,y+1/2,z'
'-x+1/2,-y+1/2,-z'
'-x+1/2,y+1/2,-z'
'x+1/2,-y+1/2,z'
loop_
_atom_site_label
_atom_site_type_symbol
_atom_site_fract_x
_atom_site_fract_y
_atom_site_fract_z
_atom_site_occupancy
U1 U 0.235 0.000 0.244 1
Mn1 Mn 0.000 0.000 0.500 1
Ni1 Ni 0.000 0.000 0.000 1
Se1 Se 0.083 0.000 0.756 1
Se2 Se 0.139 0.500 0.047 1
Se3 Se 0.143 0.500 0.448 1
# ΔH_f (0 K) = -1.076 eV per atom
# Calculated volume = 21.17 Å³ per atom
# Raw total energy = -132.87 eV for the cell shown

***

# 6
# PBE-GGA Sc3Cd, optimized geometry
data_Sc3Cd
_chemical_formula_sum 'Sc6 Cd2'
_cell_length_a 6.4018
_cell_length_b 6.4018
_cell_length_c 5.2526
_cell_angle_alpha 90.00
_cell_angle_beta 90.00
_cell_angle_gamma 120.00
_space_group_name_H-M_alt 'P 63/m m c'
_space_group_IT_number 194
_space_group_name_Hall '-P 6c 2c'
loop_
_atom_site_label
_atom_site_type_symbol
_atom_site_fract_x
_atom_site_fract_y
_atom_site_fract_z
_atom_site_occupancy
Sc1 Sc 0.1690 0.3380 0.2500 1
Cd1 Cd 0.3333 0.6667 0.7500 1
# ΔH_f (0 K) = -0.131 eV per atom
# Calculated volume = 23.30 Å³ per atom
# Raw total energy = -40.89 eV for the cell shown

***

# 7
# PBE-GGA MgCu2Pb2O4, optimized geometry
data_MgCu2Pb2O4
_chemical_formula_sum 'Mg1 Cu2 Pb2 O4'
_cell_length_a 5.265
_cell_length_b 5.670
_cell_length_c 6.033
_cell_angle_alpha 117.34
_cell_angle_beta 110.34
_cell_angle_gamma 90.57
_space_group_name_H-M_alt 'P -1'
_space_group_IT_number 2
loop_
_space_group_symop_operation_xyz
'x,y,z'
'-x,-y,-z'
loop_
_atom_site_label
_atom_site_type_symbol
_atom_site_fract_x
_atom_site_fract_y
_atom_site_fract_z
_atom_site_occupancy
Mg1 Mg 0.000 0.000 0.000 1
Cu1 Cu 0.000 0.500 0.000 1
Cu2 Cu 0.500 0.000 0.000 1
Pb1 Pb 0.341 0.309 0.620 1
O1 O 0.301 0.842 0.171 1
O2 O 0.304 0.327 0.173 1
# ΔH_f (0 K) = -1.207 eV per atom
# Calculated volume = 16.32 Å³ per atom
# Raw total energy = -45.13 eV for the cell shown

***

# 8
# PBE-GGA MnBi, optimized geometry
data_MnBi
_chemical_formula_sum 'Mn4 Bi4'
_cell_length_a 5.585
_cell_length_b 4.220
_cell_length_c 7.723
_cell_angle_alpha 90.00
_cell_angle_beta 90.00
_cell_angle_gamma 90.00
_space_group_name_H-M_alt 'P m m a'
_space_group_IT_number 51
loop_
_space_group_symop_operation_xyz
'x,y,z'
'-x,-y,-z'
'-x+1/2,-y,z'
'x+1/2,y,-z'
'x+1/2,-y,-z'
'-x+1/2,y,z'
'-x,y,-z'
'x,-y,z'
loop_
_atom_site_label
_atom_site_type_symbol
_atom_site_fract_x
_atom_site_fract_y
_atom_site_fract_z
_atom_site_occupancy
Mn1 Mn 0.000 0.000 0.000 1
Mn2 Mn 0.250 0.500 0.119 1
Bi1 Bi 0.250 0.000 0.345 1
Bi2 Bi 0.250 0.500 0.767 1
# ΔH_f (0 K) = 0.219 eV per atom
# Calculated volume = 22.75 Å³ per atom
# Raw total energy = -50.46 eV for the cell shown

***

# 9
# PBE-GGA BaReH9, optimized geometry
data_BaReH9
_chemical_formula_sum 'Ba4 Re4 H36'
_cell_length_a 5.207
_cell_length_b 9.407
_cell_length_c 9.366
_cell_angle_alpha 90.00
_cell_angle_beta 90.00
_cell_angle_gamma 90.00
_space_group_name_H-M_alt 'C m c m'
_space_group_IT_number 63
_space_group_name_Hall '-C 2c 2'
loop_
_atom_site_label
_atom_site_type_symbol
_atom_site_fract_x
_atom_site_fract_y
_atom_site_fract_z
_atom_site_occupancy
Ba1 Ba 0.000 0.000 0.000 1
Re1 Re 0.000 0.316 0.250 1
H1 H 0.000 0.138 0.250 1
H2 H 0.000 0.389 0.085 1
H3 H 0.214 0.455 0.250 1
H4 H 0.243 0.250 0.148 1
# ΔH_f (0 K) = -0.415 eV per atom
# Calculated volume = 10.43 Å³ per atom
# Raw total energy = -191.42 eV for the cell shown
# Polymorph energy (0 for the lowest one) = 6 meV per atom

***

# 10
# PBE-GGA MgCl2, optimized geometry
data_MgCl2
_chemical_formula_sum 'Mg2 Cl4'
_cell_length_a 6.791
_cell_length_b 7.083
_cell_length_c 7.125
_cell_angle_alpha 64.87
_cell_angle_beta 65.97
_cell_angle_gamma 77.37
_space_group_name_H-M_alt 'P -1'
_space_group_IT_number 2
loop_
_space_group_symop_operation_xyz
'x,y,z'
'-x,-y,-z'
loop_
_atom_site_label
_atom_site_type_symbol
_atom_site_fract_x
_atom_site_fract_y
_atom_site_fract_z
_atom_site_occupancy
Mg1 Mg 0.001 0.134 0.136 1
Cl1 Cl 0.000 0.000 0.500 1
Cl2 Cl 0.000 0.500 0.000 1
Cl3 Cl 0.280 0.984 0.898 1
# ΔH_f (0 K) = -2.144 eV per atom
# Calculated volume = 47.16 Å³ per atom
# Raw total energy = -21.00 eV for the cell shown

***

# 11
# PBE-GGA Sb2Te2O9, optimized geometry
data_Sb2Te2O9
_chemical_formula_sum 'Sb16 Te16 O72'
_cell_length_a 22.705
_cell_length_b 5.053
_cell_length_c 14.638
_cell_angle_alpha 90.00
_cell_angle_beta 108.62
_cell_angle_gamma 90.00
_space_group_name_H-M_alt 'P 1 21/c 1'
_space_group_IT_number 14
loop_
_space_group_symop_operation_xyz
'x,y,z'
'-x,-y,-z'
'-x,y+1/2,-z+1/2'
'x,-y+1/2,z+1/2'
loop_
_atom_site_label
_atom_site_type_symbol
_atom_site_fract_x
_atom_site_fract_y
_atom_site_fract_z
_atom_site_occupancy
Sb1 Sb 0.052 0.192 0.219 1
Sb2 Sb 0.153 0.693 0.166 1
Sb3 Sb 0.326 0.161 0.488 1
Sb4 Sb 0.443 0.681 0.187 1
Te1 Te 0.057 0.145 0.447 1
Te2 Te 0.212 0.623 0.410 1
Te3 Te 0.266 0.163 0.181 1
Te4 Te 0.425 0.706 0.425 1
O1 O 0.008 0.125 0.589 1
O2 O 0.024 0.036 0.799 1
O3 O 0.076 0.593 0.646 1
O4 O 0.094 0.039 0.351 1
O5 O 0.119 0.583 0.029 1
O6 O 0.129 0.104 0.734 1
O7 O 0.188 0.006 0.116 1
O8 O 0.203 0.669 0.796 1
O9 O 0.235 0.511 0.167 1
O10 O 0.258 0.597 0.986 1
O11 O 0.269 0.124 0.878 1
O12 O 0.283 0.104 0.059 1
O13 O 0.348 0.612 0.906 1
O14 O 0.375 0.074 0.623 1
O15 O 0.394 0.696 0.765 1
O16 O 0.396 0.123 0.964 1
O17 O 0.463 0.670 0.063 1
O18 O 0.499 0.507 0.708 1
# ΔH_f (0 K) = -1.608 eV per atom
# Calculated volume = 15.30 Å³ per atom
# Raw total energy = -590.35 eV for the cell shown
# Polymorph energy (0 for the lowest one) = 66 meV per atom

***

# 12
# PBE-GGA LaGe2Ir3, optimized geometry
data_LaGe2Ir3
_chemical_formula_sum 'La1 Ge2 Ir3'
_cell_length_a 5.6942
_cell_length_b 5.6942
_cell_length_c 3.8558
_cell_angle_alpha 90.00
_cell_angle_beta 90.00
_cell_angle_gamma 120.00
_space_group_name_H-M_alt 'P 6/m m m'
_space_group_IT_number 191
_space_group_name_Hall '-P 6 2'
loop_
_atom_site_label
_atom_site_type_symbol
_atom_site_fract_x
_atom_site_fract_y
_atom_site_fract_z
_atom_site_occupancy
La1 La 0.0000 0.0000 0.0000 1
Ge1 Ge 0.3333 0.6667 0.0000 1
Ir1 Ir 0.0000 0.5000 0.5000 1
# ΔH_f (0 K) = -0.676 eV per atom
# Calculated volume = 18.04 Å³ per atom
# Raw total energy = -44.75 eV for the cell shown